Na10Hf2Zn6Si3S9O48: optimized geometry, PBE.

Values from the calculation:
ΔE_f = -2.2668 eV per atom
Space group = P1 (1)

The structure in CIF format:
```
data_Na10Hf2Zn6Si3S9O48
_chemical_formula_sum 'Na30 Hf6 Zn18 Si9 S27 O144'
_space_group_name_H-M_alt 'P 1'
_space_group_IT_number 1
_cell_length_a 9.025
_cell_length_b 15.587
_cell_length_c 22.534
_cell_angle_alpha 90.06
_cell_angle_beta 90.26
_cell_angle_gamma 90.15
loop_
_space_group_symop_operation_xyz
'x,y,z'
loop_
_atom_site_label
_atom_site_fract_x
_atom_site_fract_y
_atom_site_fract_z
Na1 0.000 0.000 0.000
Na2 0.001 0.966 0.672
Na3 0.125 0.466 0.171
Na4 0.127 0.501 0.499
Na5 0.143 0.133 0.510
Na6 0.174 0.157 0.171
Na7 0.183 0.490 0.835
Na8 0.295 0.324 0.252
Na9 0.304 0.653 0.415
Na10 0.312 0.982 0.085
Na11 0.314 0.990 0.590
Na12 0.322 0.309 0.751
Na13 0.328 0.643 0.917
Na14 0.447 0.820 0.009
Na15 0.483 0.129 0.004
Na16 0.489 0.836 0.673
Na17 0.498 0.463 0.675
Na18 0.502 0.157 0.341
Na19 0.623 0.008 0.498
Na20 0.626 0.963 0.176
Na21 0.635 0.338 0.171
Na22 0.644 0.628 0.504
Na23 0.671 0.317 0.508
Na24 0.808 0.144 0.416
Na25 0.811 0.814 0.252
Na26 0.812 0.482 0.586
Na27 0.814 0.490 0.087
Na28 0.821 0.154 0.915
Na29 0.825 0.817 0.752
Na30 0.953 0.656 0.673
Hf1 0.304 0.656 0.569
Hf2 0.314 0.317 0.902
Hf3 0.319 0.321 0.405
Hf4 0.811 0.820 0.904
Hf5 0.817 0.816 0.399
Hf6 0.821 0.156 0.068
Zn1 0.281 0.315 0.101
Zn2 0.309 0.647 0.075
Zn3 0.310 0.985 0.738
Zn4 0.312 0.654 0.269
Zn5 0.316 0.655 0.775
Zn6 0.321 0.990 0.939
Zn7 0.324 0.972 0.248
Zn8 0.330 0.312 0.599
Zn9 0.331 0.989 0.432
Zn10 0.796 0.153 0.575
Zn11 0.796 0.487 0.932
Zn12 0.797 0.475 0.749
Zn13 0.805 0.491 0.439
Zn14 0.808 0.815 0.103
Zn15 0.812 0.153 0.769
Zn16 0.816 0.486 0.238
Zn17 0.824 0.149 0.273
Zn18 0.843 0.811 0.603
Si1 0.168 0.800 0.677
Si2 0.169 0.169 0.006
Si3 0.460 0.166 0.506
Si4 0.465 0.466 0.510
Si5 0.513 0.489 0.836
Si6 0.619 0.987 0.335
Si7 0.662 0.964 0.010
Si8 0.957 0.669 0.506
Si9 0.958 0.300 0.177
S1 0.016 0.985 0.838
S2 0.019 0.654 0.172
S3 0.022 0.316 0.506
S4 0.103 0.154 0.671
S5 0.105 0.813 0.006
S6 0.110 0.486 0.338
S7 0.161 0.469 0.005
S8 0.161 0.500 0.672
S9 0.165 0.133 0.339
S10 0.170 0.836 0.339
S11 0.458 0.797 0.170
S12 0.459 0.506 0.172
S13 0.460 0.839 0.840
S14 0.465 0.131 0.837
S15 0.517 0.152 0.172
S16 0.524 0.819 0.507
S17 0.606 0.322 0.008
S18 0.609 0.652 0.671
S19 0.660 0.631 0.337
S20 0.664 0.340 0.339
S21 0.665 0.004 0.672
S22 0.667 0.669 0.006
S23 0.668 0.300 0.672
S24 0.957 0.632 0.838
S25 0.958 0.335 0.839
S26 0.963 0.965 0.505
S27 0.964 0.001 0.172
O1 0.003 0.825 0.345
O2 0.004 0.146 0.337
O3 0.007 0.161 0.724
O4 0.008 0.802 0.952
O5 0.010 0.140 0.616
O6 0.013 0.826 0.058
O7 0.019 0.493 0.393
O8 0.020 0.474 0.284
O9 0.104 0.973 0.784
O10 0.107 0.993 0.893
O11 0.111 0.665 0.226
O12 0.113 0.334 0.558
O13 0.113 0.639 0.118
O14 0.119 0.643 0.836
O15 0.120 0.304 0.452
O16 0.124 0.973 0.498
O17 0.126 0.328 0.845
O18 0.128 0.000 0.176
O19 0.140 0.313 0.169
O20 0.140 0.661 0.511
O21 0.186 0.887 0.284
O22 0.191 0.420 0.060
O23 0.194 0.733 0.730
O24 0.196 0.074 0.676
O25 0.197 0.231 0.668
O26 0.197 0.558 0.618
O27 0.198 0.083 0.393
O28 0.198 0.892 0.998
O29 0.204 0.405 0.343
O30 0.205 0.737 0.009
O31 0.208 0.231 0.950
O32 0.209 0.562 0.334
O33 0.227 0.415 0.664
O34 0.228 0.540 0.726
O35 0.229 0.423 0.952
O36 0.230 0.093 0.285
O37 0.230 0.879 0.392
O38 0.232 0.071 0.998
O39 0.235 0.554 0.007
O40 0.236 0.749 0.334
O41 0.242 0.220 0.343
O42 0.244 0.754 0.617
O43 0.246 0.896 0.679
O44 0.249 0.204 0.066
O45 0.370 0.207 0.561
O46 0.375 0.420 0.454
O47 0.386 0.070 0.500
O48 0.388 0.546 0.224
O49 0.389 0.885 0.172
O50 0.392 0.563 0.513
O51 0.393 0.418 0.167
O52 0.394 0.090 0.786
O53 0.395 0.570 0.831
O54 0.396 0.220 0.843
O55 0.397 0.753 0.837
O56 0.400 0.402 0.845
O57 0.402 0.882 0.894
O58 0.404 0.757 0.114
O59 0.416 0.076 0.172
O60 0.421 0.746 0.223
O61 0.423 0.891 0.499
O62 0.429 0.229 0.446
O63 0.430 0.233 0.167
O64 0.432 0.556 0.117
O65 0.437 0.412 0.570
O66 0.439 0.735 0.511
O67 0.441 0.083 0.894
O68 0.441 0.890 0.785
O69 0.484 0.971 0.000
O70 0.494 0.331 0.343
O71 0.498 0.643 0.330
O72 0.501 0.667 0.007
O73 0.502 0.995 0.678
O74 0.503 0.310 0.671
O75 0.506 0.309 0.955
O76 0.513 0.659 0.724
O77 0.514 0.640 0.616
O78 0.518 0.332 0.063
O79 0.520 0.005 0.395
O80 0.522 0.971 0.274
O81 0.597 0.470 0.773
O82 0.609 0.160 0.225
O83 0.613 0.832 0.562
O84 0.614 0.140 0.118
O85 0.614 0.501 0.894
O86 0.623 0.496 0.178
O87 0.623 0.807 0.455
O88 0.624 0.808 0.170
O89 0.628 0.143 0.831
O90 0.630 0.829 0.847
O91 0.642 0.472 0.500
O92 0.643 0.162 0.510
O93 0.685 0.583 0.393
O94 0.689 0.236 0.010
O95 0.689 0.390 0.284
O96 0.690 0.907 0.069
O97 0.694 0.051 0.615
O98 0.696 0.733 0.667
O99 0.704 0.727 0.953
O100 0.705 0.247 0.724
O101 0.709 0.576 0.673
O102 0.710 0.393 0.001
O103 0.719 0.076 0.330
O104 0.722 0.252 0.336
O105 0.722 0.262 0.615
O106 0.722 0.382 0.393
O107 0.722 0.900 0.345
O108 0.729 0.708 0.060
O109 0.730 0.589 0.286
O110 0.731 0.916 0.668
O111 0.732 0.719 0.343
O112 0.733 0.583 0.999
O113 0.736 0.061 0.013
O114 0.738 0.046 0.723
O115 0.739 0.387 0.675
O116 0.750 0.916 0.953
O117 0.877 0.703 0.566
O118 0.880 0.396 0.179
O119 0.883 0.253 0.117
O120 0.886 0.719 0.846
O121 0.889 0.919 0.454
O122 0.892 0.041 0.223
O123 0.893 0.052 0.507
O124 0.895 0.248 0.832
O125 0.895 0.570 0.498
O126 0.896 0.595 0.782
O127 0.898 0.376 0.893
O128 0.898 0.915 0.164
O129 0.916 0.060 0.834
O130 0.918 0.731 0.450
O131 0.920 0.904 0.844
O132 0.923 0.390 0.496
O133 0.924 0.731 0.165
O134 0.926 0.574 0.176
O135 0.928 0.576 0.890
O136 0.930 0.057 0.117
O137 0.932 0.236 0.509
O138 0.932 0.918 0.562
O139 0.934 0.234 0.230
O140 0.942 0.390 0.785
O141 0.986 0.160 0.010
O142 0.986 0.813 0.670
O143 0.997 0.499 0.675
O144 0.999 0.476 0.997
```


Ti2Zn: optimized geometry, PBE.

Values from the calculation:
ΔE_f = -0.1567 eV per atom
Space group = I4/mmm (139)

The structure in CIF format:
```
data_Ti2Zn
_chemical_formula_sum 'Ti2 Zn1'
_space_group_name_H-M_alt 'P 1'
_space_group_IT_number 1
_cell_length_a 5.814
_cell_length_b 5.814
_cell_length_c 5.814
_cell_angle_alpha 150.01
_cell_angle_beta 150.01
_cell_angle_gamma 42.93
loop_
_space_group_symop_operation_xyz
'x,y,z'
loop_
_atom_site_label
_atom_site_fract_x
_atom_site_fract_y
_atom_site_fract_z
Ti1 0.164 0.164 0.000
Ti2 0.836 0.836 0.000
Zn1 0.500 0.500 0.000
```


TiPb4N4: optimized geometry, PBE.

Values from the calculation:
ΔE_f = -0.0936 eV per atom
Space group = C2/c (15)

The structure in CIF format:
```
data_TiPb4N4
_chemical_formula_sum 'Ti2 Pb8 N8'
_space_group_name_H-M_alt 'P 1'
_space_group_IT_number 1
_cell_length_a 6.867
_cell_length_b 6.867
_cell_length_c 10.080
_cell_angle_alpha 115.55
_cell_angle_beta 115.55
_cell_angle_gamma 74.35
loop_
_space_group_symop_operation_xyz
'x,y,z'
loop_
_atom_site_label
_atom_site_fract_x
_atom_site_fract_y
_atom_site_fract_z
Ti1 0.039 0.961 0.750
Ti2 0.961 0.039 0.250
Pb1 0.136 0.249 0.626
Pb2 0.249 0.136 0.126
Pb3 0.249 0.583 0.042
Pb4 0.417 0.751 0.458
Pb5 0.583 0.249 0.542
Pb6 0.751 0.417 0.958
Pb7 0.751 0.864 0.874
Pb8 0.864 0.751 0.374
N1 0.052 0.272 0.864
N2 0.122 0.817 0.898
N3 0.183 0.878 0.602
N4 0.272 0.052 0.364
N5 0.728 0.948 0.636
N6 0.817 0.122 0.398
N7 0.878 0.183 0.102
N8 0.948 0.728 0.136
```


PrH3CSO7: optimized geometry, PBE.

Values from the calculation:
ΔE_f = -2.0233 eV per atom
Space group = P4_1 (76)

The structure in CIF format:
```
data_PrH3CSO7
_chemical_formula_sum 'Pr4 H12 C4 S4 O28'
_space_group_name_H-M_alt 'P 1'
_space_group_IT_number 1
_cell_length_a 7.060
_cell_length_b 7.060
_cell_length_c 11.981
_cell_angle_alpha 90.00
_cell_angle_beta 90.00
_cell_angle_gamma 90.00
loop_
_space_group_symop_operation_xyz
'x,y,z'
loop_
_atom_site_label
_atom_site_fract_x
_atom_site_fract_y
_atom_site_fract_z
Pr1 0.114 0.631 0.000
Pr2 0.369 0.114 0.250
Pr3 0.631 0.886 0.750
Pr4 0.886 0.369 0.500
H1 0.032 0.140 0.959
H2 0.140 0.968 0.709
H3 0.175 0.400 0.781
H4 0.383 0.459 0.818
H5 0.400 0.825 0.531
H6 0.459 0.617 0.568
H7 0.541 0.383 0.068
H8 0.600 0.175 0.031
H9 0.617 0.541 0.318
H10 0.825 0.600 0.281
H11 0.860 0.032 0.209
H12 0.968 0.860 0.459
C1 0.114 0.136 0.037
C2 0.136 0.886 0.787
C3 0.864 0.114 0.287
C4 0.886 0.864 0.537
S1 0.235 0.613 0.306
S2 0.387 0.235 0.556
S3 0.613 0.765 0.056
S4 0.765 0.387 0.806
O1 0.025 0.161 0.328
O2 0.112 0.633 0.206
O3 0.117 0.559 0.403
O4 0.156 0.291 0.085
O5 0.161 0.975 0.078
O6 0.206 0.330 0.582
O7 0.254 0.432 0.846
O8 0.291 0.844 0.835
O9 0.330 0.794 0.332
O10 0.367 0.112 0.456
O11 0.382 0.462 0.285
O12 0.432 0.746 0.596
O13 0.441 0.117 0.653
O14 0.462 0.618 0.035
O15 0.538 0.382 0.535
O16 0.559 0.883 0.153
O17 0.568 0.254 0.096
O18 0.618 0.538 0.785
O19 0.633 0.888 0.956
O20 0.670 0.206 0.832
O21 0.709 0.156 0.335
O22 0.746 0.568 0.346
O23 0.794 0.670 0.082
O24 0.839 0.025 0.578
O25 0.844 0.709 0.585
O26 0.883 0.441 0.903
O27 0.888 0.367 0.706
O28 0.975 0.839 0.828
```